Record 1
DFT (PBE-GGA) results for a relaxed structure of ErZnAsO.

MP2020-corrected energy: -5.862 eV/atom
ΔH_f (0 K): -8.01 eV per formula unit

Cell: 3.935 3.935 8.876 Å, 90.00 90.00 90.00°
Space group P4/nmm (No. 129, origin choice 2)
Asymmetric unit:
Er 0.250 0.250 0.121
Zn 0.250 0.750 0.500
As 0.250 0.250 0.686
O 0.250 0.750 0.000



Record 2
DFT (PBE-GGA) results for a relaxed structure of ErAsPt.

ΔH_f (0 K): -3.55 eV per formula unit

Cell: 4.2664 4.2664 15.4474 Å, 90.00 90.00 120.00°
Space group P6_3/mmc (No. 194)
Asymmetric unit:
Er 0.0000 0.0000 0.0000
Er 0.0000 0.0000 0.2500
As 0.3333 0.6667 0.1159
Pt 0.3333 0.6667 0.6355



Record 3
DFT (PBE-GGA) results for a relaxed structure of Eu5As4.

ΔH_f (0 K): -10.80 eV per formula unit

Cell: 15.384 8.015 8.053 Å, 90.00 90.00 90.00°
Space group Cmce (No. 64)
Asymmetric unit:
Eu 0.000 0.000 0.000
Eu 0.141 0.170 0.335
As 0.000 0.124 0.625
As 0.200 0.000 0.000